! InSiPt5 | the Materials Project database | r²SCAN | optimized geometry; values from VASP
&SYSTEM
  ibrav = 0, nat = 7, ntyp = 3
/
ATOMIC_SPECIES
In 114.82 In.upf
Si 28.09 Si.upf
Pt 195.08 Pt.upf
ATOMIC_POSITIONS crystal
In 0.500 0.500 0.000
Si 0.000 0.000 0.500
Pt 0.000 0.500 0.296
Pt 0.000 0.500 0.704
Pt 0.500 0.000 0.296
Pt 0.500 0.000 0.704
Pt 0.000 0.000 0.000
CELL_PARAMETERS angstrom
3.965 0.000 0.000
0.000 3.965 0.000
0.000 0.000 7.097
! * electronic total energy: -41.8603 eV per atom
! * SG: P4/mmm (123)



! CuPO4 | the Materials Project database | r²SCAN | optimized geometry; values from VASP
&SYSTEM
  ibrav = 0, nat = 24, ntyp = 3
/
ATOMIC_SPECIES
Cu 63.55 Cu.upf
P 30.97 P.upf
O 16.00 O.upf
ATOMIC_POSITIONS crystal
Cu 0.370 0.750 0.185
Cu 0.870 0.250 0.315
Cu 0.130 0.750 0.685
Cu 0.630 0.250 0.815
P 0.451 0.250 0.114
P 0.951 0.750 0.386
P 0.049 0.250 0.614
P 0.549 0.750 0.886
O 0.583 0.750 0.041
O 0.738 0.250 0.142
O 0.304 0.052 0.178
O 0.304 0.448 0.178
O 0.804 0.552 0.322
O 0.804 0.948 0.322
O 0.238 0.750 0.358
O 0.083 0.250 0.459
O 0.917 0.750 0.541
O 0.762 0.250 0.642
O 0.196 0.052 0.678
O 0.196 0.448 0.678
O 0.696 0.552 0.822
O 0.696 0.948 0.822
O 0.262 0.750 0.858
O 0.417 0.250 0.959
CELL_PARAMETERS angstrom
5.224 0.000 0.000
0.000 5.930 0.000
0.000 0.000 9.865
! * electronic total energy: -8.8836 eV per atom
! * SG: Pnma (62)



! Fe2P | the Materials Project database | r²SCAN | optimized geometry; values from VASP
&SYSTEM
  ibrav = 0, nat = 9, ntyp = 2
/
ATOMIC_SPECIES
Fe 55.84 Fe.upf
P 30.97 P.upf
ATOMIC_POSITIONS crystal
Fe 0.588 0.000 0.500
Fe 0.412 0.412 0.500
Fe 0.000 0.588 0.500
Fe 0.000 0.257 0.000
Fe 0.743 0.743 0.000
Fe 0.257 0.000 0.000
P 0.667 0.333 0.000
P 0.333 0.667 0.000
P 0.000 0.000 0.500
CELL_PARAMETERS angstrom
-3.428 0.172 -4.653
-0.472 -4.351 3.778
-2.297 1.776 1.758
! * electronic total energy: -12.9082 eV per atom
! * SG: P-62m (189)



! Ba4Sn3O10 | the Materials Project database | r²SCAN | optimized geometry; values from VASP
&SYSTEM
  ibrav = 0, nat = 34, ntyp = 3
/
ATOMIC_SPECIES
Ba 137.33 Ba.upf
Sn 118.71 Sn.upf
O 16.00 O.upf
ATOMIC_POSITIONS crystal
Ba 0.931 0.069 0.000
Ba 0.203 0.797 0.000
Ba 0.797 0.203 0.000
Ba 0.069 0.931 0.000
Ba 0.431 0.569 0.500
Ba 0.297 0.703 0.500
Ba 0.703 0.297 0.500
Ba 0.569 0.431 0.500
Sn 0.500 0.500 0.000
Sn 0.362 0.638 0.000
Sn 0.638 0.362 0.000
Sn 0.000 0.000 0.500
Sn 0.138 0.862 0.500
Sn 0.862 0.138 0.500
O 0.431 0.569 0.000
O 0.293 0.707 0.000
O 0.707 0.293 0.000
O 0.569 0.431 0.000
O 0.248 0.248 0.248
O 0.888 0.613 0.250
O 0.613 0.888 0.250
O 0.113 0.388 0.250
O 0.388 0.113 0.250
O 0.748 0.748 0.252
O 0.931 0.069 0.500
O 0.207 0.793 0.500
O 0.793 0.207 0.500
O 0.069 0.931 0.500
O 0.252 0.252 0.748
O 0.887 0.612 0.750
O 0.612 0.887 0.750
O 0.112 0.387 0.750
O 0.387 0.112 0.750
O 0.752 0.752 0.752
CELL_PARAMETERS angstrom
8.548 11.913 4.256
-12.051 -9.370 -0.283
2.436 -3.262 4.237
! * electronic total energy: -16.6100 eV per atom
! * SG: Cmce (64)



! Rb2Be2O3 | the Materials Project database | r²SCAN | optimized geometry; values from VASP
&SYSTEM
  ibrav = 0, nat = 14, ntyp = 3
/
ATOMIC_SPECIES
Rb 85.47 Rb.upf
Be 9.01 Be.upf
O 16.00 O.upf
ATOMIC_POSITIONS crystal
Rb 0.348 0.778 0.929
Rb 0.152 0.778 0.429
Rb 0.848 0.222 0.571
Rb 0.652 0.222 0.071
Be 0.508 0.697 0.504
Be 0.008 0.303 0.996
Be 0.992 0.697 0.004
Be 0.492 0.303 0.496
O 0.500 0.000 0.500
O 0.000 0.000 0.000
O 0.949 0.606 0.806
O 0.449 0.394 0.694
O 0.551 0.606 0.306
O 0.051 0.394 0.194
CELL_PARAMETERS angstrom
-7.082 1.033 -4.844
2.307 -2.132 -3.828
-0.686 -6.448 -0.372
! * electronic total energy: -10.0290 eV per atom
! * SG: P2_1/c (14)
! * energy relative to the lowest polymorph listed for this composition: 38 meV/atom



! Lu5Si10Ir4 | the Materials Project database | r²SCAN | optimized geometry; values from VASP
&SYSTEM
  ibrav = 0, nat = 38, ntyp = 3
/
ATOMIC_SPECIES
Lu 174.97 Lu.upf
Si 28.09 Si.upf
Ir 192.22 Ir.upf
ATOMIC_POSITIONS crystal
Lu 0.500 0.500 0.000
Lu 0.000 0.000 0.000
Lu 0.674 0.826 0.500
Lu 0.326 0.174 0.500
Lu 0.174 0.674 0.500
Lu 0.826 0.326 0.500
Lu 0.384 0.884 0.500
Lu 0.616 0.116 0.500
Lu 0.884 0.616 0.500
Lu 0.116 0.384 0.500
Si 0.566 0.934 0.000
Si 0.434 0.066 0.000
Si 0.066 0.566 0.000
Si 0.934 0.434 0.000
Si 0.701 0.665 0.000
Si 0.299 0.335 0.000
Si 0.201 0.835 0.000
Si 0.799 0.165 0.000
Si 0.335 0.701 0.000
Si 0.665 0.299 0.000
Si 0.165 0.201 0.000
Si 0.835 0.799 0.000
Si 0.504 0.655 0.500
Si 0.496 0.345 0.500
Si 0.004 0.845 0.500
Si 0.996 0.155 0.500
Si 0.345 0.504 0.500
Si 0.655 0.496 0.500
Si 0.155 0.004 0.500
Si 0.845 0.996 0.500
Ir 0.519 0.745 0.000
Ir 0.481 0.255 0.000
Ir 0.019 0.755 0.000
Ir 0.981 0.245 0.000
Ir 0.255 0.519 0.000
Ir 0.745 0.481 0.000
Ir 0.245 0.019 0.000
Ir 0.755 0.981 0.000
CELL_PARAMETERS angstrom
12.490 0.000 0.000
0.000 12.490 0.000
0.000 0.000 4.182
! * electronic total energy: -26.6050 eV per atom
! * SG: P4/mbm (127)



! CaBr2 | the Materials Project database | r²SCAN | optimized geometry; values from VASP
&SYSTEM
  ibrav = 0, nat = 6, ntyp = 2
/
ATOMIC_SPECIES
Ca 40.08 Ca.upf
Br 79.90 Br.upf
ATOMIC_POSITIONS crystal
Ca 0.000 0.000 0.000
Ca 0.500 0.500 0.500
Br 0.802 0.198 0.500
Br 0.698 0.698 0.000
Br 0.302 0.302 0.000
Br 0.198 0.802 0.500
CELL_PARAMETERS angstrom
6.808 0.000 0.000
0.000 6.808 0.000
0.000 0.000 4.380
! * electronic total energy: -13.4869 eV per atom
! * SG: P4_2/mnm (136)



! LaRh3 | the Materials Project database | r²SCAN | optimized geometry; values from VASP
&SYSTEM
  ibrav = 0, nat = 12, ntyp = 2
/
ATOMIC_SPECIES
La 138.91 La.upf
Rh 102.91 Rh.upf
ATOMIC_POSITIONS crystal
La 0.138 0.138 0.138
La 0.000 0.000 0.000
La 0.862 0.862 0.862
Rh 0.420 0.420 0.918
Rh 0.420 0.918 0.420
Rh 0.082 0.580 0.580
Rh 0.580 0.580 0.082
Rh 0.918 0.420 0.420
Rh 0.580 0.082 0.580
Rh 0.332 0.332 0.332
Rh 0.668 0.668 0.668
Rh 0.500 0.500 0.500
CELL_PARAMETERS angstrom
-9.178 1.558 -1.142
-8.331 1.311 4.105
-7.240 5.786 1.442
! * electronic total energy: -26.0973 eV per atom
! * SG: R-3m (166)



electronic total energy of number 3 (Fe2P)?
-12.9082 eV per atom